{
  "formula": "AlTlI4",
  "functional": "r²SCAN",
  "state": "optimized geometry",
  "ef_ev_per_atom": -0.8254,
  "density_g_cm3": 4.598,
  "cell": [[8.2202, 0.0000, 0.0000], [0.0000, 8.0332, 0.0000], [-1.5306, 0.0000, 16.1675]],
  "species": ["Al", "Al", "Al", "Al", "Tl", "Tl", "Tl", "Tl", "I", "I", "I", "I", "I", "I", "I", "I", "I", "I", "I", "I", "I", "I", "I", "I"],
  "frac_coords": [[0.2472, 0.1430, 0.1397], [0.2472, 0.3570, 0.6397], [0.7528, 0.6430, 0.3603], [0.7528, 0.8570, 0.8603], [0.2551, 0.0050, 0.8622], [0.2551, 0.4950, 0.3622], [0.7449, 0.5050, 0.6378], [0.7449, 0.9950, 0.1378], [0.0156, 0.1538, 0.6603], [0.0156, 0.3462, 0.1603], [0.1403, 0.6413, 0.5901], [0.1403, 0.8587, 0.0901], [0.4218, 0.1091, 0.2771], [0.4218, 0.3909, 0.7771], [0.4236, 0.2395, 0.5319], [0.4236, 0.2605, 0.0319], [0.5764, 0.7395, 0.9681], [0.5764, 0.7605, 0.4681], [0.5782, 0.6091, 0.2229], [0.5782, 0.8909, 0.7229], [0.8597, 0.1413, 0.9099], [0.8597, 0.3587, 0.4099], [0.9844, 0.6538, 0.8397], [0.9844, 0.8462, 0.3397]]
}


{
  "formula": "La4MgRu",
  "functional": "r²SCAN",
  "state": "optimized geometry",
  "ef_ev_per_atom": -0.2390,
  "density_g_cm3": 6.158,
  "cell": [[0.0000, 7.1613, 7.1613], [7.1613, 0.0000, 7.1613], [7.1613, 7.1613, 0.0000]],
  "species": ["La", "La", "La", "La", "La", "La", "La", "La", "La", "La", "La", "La", "La", "La", "La", "La", "Mg", "Mg", "Mg", "Mg", "Ru", "Ru", "Ru", "Ru"],
  "frac_coords": [[0.1866, 0.1866, 0.8134], [0.1866, 0.8134, 0.1866], [0.1866, 0.8134, 0.8134], [0.3437, 0.3437, 0.3437], [0.3437, 0.3437, 0.9689], [0.3437, 0.9689, 0.3437], [0.5594, 0.5594, 0.9406], [0.5594, 0.9406, 0.5594], [0.5594, 0.9406, 0.9406], [0.8134, 0.1866, 0.1866], [0.8134, 0.1866, 0.8134], [0.8134, 0.8134, 0.1866], [0.9406, 0.5594, 0.5594], [0.9406, 0.5594, 0.9406], [0.9406, 0.9406, 0.5594], [0.9689, 0.3437, 0.3437], [0.2672, 0.5776, 0.5776], [0.5776, 0.2672, 0.5776], [0.5776, 0.5776, 0.2672], [0.5776, 0.5776, 0.5776], [0.1363, 0.1363, 0.1363], [0.1363, 0.1363, 0.5911], [0.1363, 0.5911, 0.1363], [0.5911, 0.1363, 0.1363]]
}


{
  "formula": "DyAu3",
  "functional": "r²SCAN",
  "state": "optimized geometry",
  "ef_ev_per_atom": -0.7903,
  "density_g_cm3": 15.829,
  "cell": [[4.9967, 0.0000, 0.0000], [0.0000, 6.2076, 0.0000], [0.0000, 0.0000, 5.0963]],
  "species": ["Dy", "Dy", "Au", "Au", "Au", "Au", "Au", "Au"],
  "frac_coords": [[0.2500, 0.2500, 0.1559], [0.7500, 0.7500, 0.8441], [0.2500, 0.5075, 0.6611], [0.2500, 0.7500, 0.1676], [0.2500, 0.9925, 0.6611], [0.7500, 0.0075, 0.3389], [0.7500, 0.2500, 0.8324], [0.7500, 0.4925, 0.3389]]
}


{
  "formula": "USi2Pd2",
  "functional": "r²SCAN",
  "state": "optimized geometry",
  "ef_ev_per_atom": -0.7344,
  "density_g_cm3": 9.783,
  "cell": [[-2.0438, 2.0438, 5.1511], [2.0438, -2.0438, 5.1511], [2.0438, 2.0438, -5.1511]],
  "species": ["U", "Si", "Si", "Pd", "Pd"],
  "frac_coords": [[0.0000, 0.0000, 0.0000], [0.3861, 0.3861, 0.0000], [0.6139, 0.6139, 0.0000], [0.2500, 0.7500, 0.5000], [0.7500, 0.2500, 0.5000]]
}